# 1
# GGA+U Li2MnV3O8, relaxed
data_Li2MnV3O8
_chemical_formula_sum 'Li6 Mn3 V9 O24'
_symmetry_space_group_name_H-M 'R -3 m'
_symmetry_Int_Tables_number 166
_symmetry_space_group_name_Hall '-R 3 2"'
_cell_length_a 5.9064
_cell_length_b 5.9064
_cell_length_c 14.6782
_cell_angle_alpha 90.00
_cell_angle_beta 90.00
_cell_angle_gamma 120.00
loop_
_atom_site_label
_atom_site_fract_x
_atom_site_fract_y
_atom_site_fract_z
_atom_site_occupancy
Li1 0.0000 0.0000 0.1277 1
Mn1 0.0000 0.0000 0.5000 1
V1 0.0000 0.5000 0.0000 1
O1 0.0000 0.0000 0.2635 1
O2 0.0354 0.5177 0.2506 1
# Excess energy over the best structure of this formula in the dataset in meV/atom: 61.0
# Crystal system: trigonal
# Calculated formation energy in eV per atom: -2.38
# DFT total energy in eV per cell: -302.5
# Total energy after the MP2020 corrections in eV/atom: -8.077

***

# 2
# GGA+U Li5Mn2V5O12, relaxed
data_Li5Mn2V5O12
_chemical_formula_sum 'Li10 Mn4 V10 O24'
_symmetry_space_group_name_H-M 'C 1 2 1'
_symmetry_Int_Tables_number 5
_cell_length_a 5.299
_cell_length_b 9.058
_cell_length_c 9.979
_cell_angle_alpha 90.00
_cell_angle_beta 99.91
_cell_angle_gamma 90.00
loop_
_symmetry_equiv_pos_as_xyz
'x,y,z'
'-x,y,-z'
'x+1/2,y+1/2,z'
'-x+1/2,y+1/2,-z'
loop_
_atom_site_label
_atom_site_fract_x
_atom_site_fract_y
_atom_site_fract_z
_atom_site_occupancy
Li1 0.000 0.000 0.000 1
Li2 0.234 0.838 0.238 1
Li3 0.246 0.502 0.238 1
Mn1 0.000 0.166 0.500 1
Mn2 0.000 0.672 0.000 1
V1 0.000 0.341 0.000 1
V2 0.000 0.497 0.500 1
V3 0.000 0.835 0.500 1
V4 0.243 0.162 0.241 1
O1 0.095 0.665 0.379 1
O2 0.101 0.179 0.870 1
O3 0.129 0.504 0.872 1
O4 0.143 0.996 0.381 1
O5 0.149 0.335 0.383 1
O6 0.153 0.832 0.877 1
# Crystal system: monoclinic
# Calculated formation energy in eV per atom: -2.35
# DFT total energy in eV per cell: -337.8
# Total energy after the MP2020 corrections in eV/atom: -7.874

***

# 3
# GGA+U LiMnVO4, relaxed
data_LiMnVO4
_chemical_formula_sum 'Li4 Mn4 V4 O16'
_symmetry_space_group_name_H-M 'I m m a'
_symmetry_Int_Tables_number 74
_symmetry_space_group_name_Hall '-I 2b 2'
_cell_length_a 5.990
_cell_length_b 6.175
_cell_length_c 8.399
_cell_angle_alpha 90.00
_cell_angle_beta 90.00
_cell_angle_gamma 90.00
loop_
_atom_site_label
_atom_site_fract_x
_atom_site_fract_y
_atom_site_fract_z
_atom_site_occupancy
Li1 0.250 0.250 0.250 1
Mn1 0.000 0.000 0.000 1
V1 0.000 0.250 0.622 1
O1 0.000 0.019 0.741 1
O2 0.245 0.250 0.500 1
# Excess energy over the best structure of this formula in the dataset in meV/atom: 23.7
# Crystal system: orthorhombic
# Calculated formation energy in eV per atom: -2.35
# DFT total energy in eV per cell: -201.1
# Total energy after the MP2020 corrections in eV/atom: -8.055

***

# 4
# GGA+U Li2MnV4O14, relaxed
data_Li2MnV4O14
_chemical_formula_sum 'Li4 Mn2 V8 O28'
_symmetry_space_group_name_H-M 'C 1 2/m 1'
_symmetry_Int_Tables_number 12
_cell_length_a 19.585
_cell_length_b 3.589
_cell_length_c 8.014
_cell_angle_alpha 90.00
_cell_angle_beta 105.15
_cell_angle_gamma 90.00
loop_
_symmetry_equiv_pos_as_xyz
'x,y,z'
'-x,-y,-z'
'-x,y,-z'
'x,-y,z'
'x+1/2,y+1/2,z'
'-x+1/2,-y+1/2,-z'
'-x+1/2,y+1/2,-z'
'x+1/2,-y+1/2,z'
loop_
_atom_site_label
_atom_site_fract_x
_atom_site_fract_y
_atom_site_fract_z
_atom_site_occupancy
Li1 0.243 0.000 0.298 1
Mn1 0.000 0.000 0.000 1
V1 0.088 0.500 0.738 1
V2 0.099 0.000 0.431 1
O1 0.045 0.500 0.905 1
O2 0.067 0.000 0.661 1
O3 0.075 0.500 0.472 1
O4 0.076 0.000 0.210 1
O5 0.174 0.500 0.820 1
O6 0.187 0.000 0.490 1
O7 0.210 0.500 0.205 1
# Crystal system: monoclinic
# Calculated formation energy in eV per atom: -1.93
# DFT total energy in eV per cell: -282.2
# Total energy after the MP2020 corrections in eV/atom: -7.580

***

Q: Among the records above, which one has the highest total energy after the MP2020 corrections?
A: Li2MnV4O14

***

Q: Which value of calculated formation energy does entry 4 give?
A: -1.93 eV per atom

***

Q: DFT total energy of number 4 (Li2MnV4O14)?
A: -282.2 eV per cell

***

Q: Which of these has the highest calculated formation energy?
A: Li2MnV4O14